1.
Compound: Rb2Tb3AlF16
Source: the Materials Project database
Functional: PBE-GGA
Structure: optimized geometry

Cell: 7.8108 7.8108 12.7657 Å, 90.00 90.00 120.00°
Space group P6_3/mmc (No. 194)
One atom of each set of equivalent atoms:
Rb: 0.3333 0.6667 0.0642 [4 per cell]
Tb: 0.1672 0.3344 0.7500 [6 per cell]
Al: 0.0000 0.0000 0.0000 [2 per cell]
F: 0.0000 0.0000 0.2500 [2 per cell]
F: 0.0998 0.5499 0.6543 [12 per cell]
F: 0.1121 0.2242 0.5799 [12 per cell]
F: 0.1827 0.3654 0.2500 [6 per cell]

Computed properties:
For the distance to the lowest polymorph of the same formula, the calculation gives 0.000 eV/atom.

---

2.
Compound: AlSnF5
Source: the Materials Project database
Functional: PBE-GGA
Structure: optimized geometry

Cell: 3.803 6.818 8.261 Å, 90.00 90.00 90.00°
Space group Immm (No. 71)
One atom of each set of equivalent atoms:
Al: 0.000 0.000 0.000 [2 per cell]
Sn: 0.000 0.000 0.500 [2 per cell]
F: 0.000 0.000 0.217 [4 per cell]
F: 0.000 0.272 0.000 [4 per cell]
F: 0.000 0.500 0.500 [2 per cell]

---

3.
Compound: Ti3AlF15
Source: the Materials Project database
Functional: PBE-GGA
Structure: optimized geometry

Cell: 6.065 9.924 9.389 Å, 90.00 104.05 90.00°
Space group P2_1/m (No. 11)
One atom of each set of equivalent atoms:
Ti: 0.000 0.000 0.000 [2 per cell]
Ti: 0.027 0.056 0.668 [4 per cell]
Al: 0.435 0.750 0.732 [2 per cell]
F: 0.093 0.078 0.198 [4 per cell]
F: 0.122 0.250 0.666 [2 per cell]
F: 0.127 0.081 0.488 [4 per cell]
F: 0.157 0.105 0.874 [4 per cell]
F: 0.244 0.609 0.047 [4 per cell]
F: 0.249 0.619 0.365 [4 per cell]
F: 0.268 0.601 0.707 [4 per cell]
F: 0.406 0.250 0.097 [2 per cell]
F: 0.433 0.250 0.403 [2 per cell]

---

4.
Compound: AlTl2F5
Source: the Materials Project database
Functional: PBE-GGA
Structure: optimized geometry

Cell: 8.999 9.003 7.581 Å, 90.00 90.00 90.00°
Space group Cmcm (No. 63)
One atom of each set of equivalent atoms:
Al: 0.000 0.000 0.000 [4 per cell]
Tl: 0.250 0.248 0.250 [8 per cell]
F: 0.000 0.004 0.750 [4 per cell]
F: 0.000 0.202 0.004 [8 per cell]
F: 0.202 0.000 0.000 [8 per cell]

Computed properties:
For the distance to the lowest polymorph of the same formula, the calculation gives 0.000 eV/atom.

---

5.
Compound: AlTl2F5
Source: the Materials Project database
Functional: PBE-GGA
Structure: optimized geometry

Cell: 8.582 9.604 7.518 Å, 90.00 90.00 90.00°
Space group Cmcm (No. 63)
One atom of each set of equivalent atoms:
Al: 0.000 0.000 0.000 [4 per cell]
Tl: 0.229 0.294 0.250 [8 per cell]
F: 0.000 0.031 0.250 [4 per cell]
F: 0.000 0.187 0.538 [8 per cell]
F: 0.212 0.000 0.000 [8 per cell]

Computed properties:
For the distance to the lowest polymorph of the same formula, the calculation gives 0.004 eV/atom.

---

6.
Compound: AlTl2F5
Source: the Materials Project database
Functional: PBE-GGA
Structure: optimized geometry

Cell: 9.166 8.898 7.569 Å, 90.00 90.00 90.00°
Space group Cmcm (No. 63)
One atom of each set of equivalent atoms:
Al: 0.000 0.000 0.000 [4 per cell]
Tl: 0.246 0.255 0.250 [8 per cell]
F: 0.000 0.003 0.250 [4 per cell]
F: 0.000 0.204 0.503 [8 per cell]
F: 0.198 0.000 0.000 [8 per cell]

Computed properties:
For the distance to the lowest polymorph of the same formula, the calculation gives 0.000 eV/atom.

---

Number 1: E_tot -249.65 eV per cell. Number 2: E_tot -75.78 eV per cell. Number 3: E_tot -233.49 eV per cell. Number 4: E_tot -158.09 eV per cell. Number 5: E_tot -157.95 eV per cell. Number 6: E_tot -158.08 eV per cell.